A relaxed Li2Cr3SnO8 crystal, computed with GGA+U.

Summary:
- energy above the most stable polymorph in this dataset (meV per atom) = 61
- calculated density (g cm⁻³) = 4.6
- spin magnetization (μB per formula unit) = 8.0
- E_tot (eV/atom) = -6.841

Unit cell a=5.9485 b=5.9485 c=5.9485 alpha=60.94 beta=60.94 gamma=60.94
Last column: nearest neighbours and their distance in Å.
Atoms (fractional coordinates):
Li1 0.5028 0.5028 0.5028  6 O 2.06-2.13
O1 0.2554 0.2554 0.2554  1 Sn 2.04, 3 Cr 2.11
Sn1 0.1140 0.1140 0.1140  4 O 1.98-2.04
Li2 0.8773 0.8773 0.8773  4 O 2.00-2.02
O2 0.2601 0.7115 0.2601  1 Sn 1.98, 1 Li 2.06, 2 Cr 2.07
O3 0.2601 0.2601 0.7115  1 Sn 1.98, 1 Li 2.06, 2 Cr 2.07
Cr1 0.5029 0.9832 0.5029  6 O 1.91-2.11
O4 0.7380 0.7380 0.7380  3 Cr 1.99, 1 Li 2.02
Cr2 0.5029 0.5029 0.9832  6 O 1.91-2.11
O5 0.7540 0.7540 0.2836  2 Cr 1.91, 2 Li 2.00-2.13
O6 0.2836 0.7540 0.7540  2 Cr 1.91, 2 Li 2.00-2.13
Cr3 0.9832 0.5029 0.5029  6 O 1.91-2.11
O7 0.7115 0.2601 0.2601  1 Sn 1.98, 1 Li 2.06, 2 Cr 2.07
O8 0.7540 0.2836 0.7540  2 Cr 1.91, 2 Li 2.00-2.13